Entry 1:
# Ta6TiC3S6, relaxed, DFT GGA-PBE
# Total energy after the MP2020 corrections   -9.370 eV per atom
# Symmetry   C2/m, No. 12
# DFT formation energy   -1.148 eV/atom
# E   -9.18 eV per atom
data_Ta6TiC3S6
_chemical_formula_sum 'Ta6 Ti1 C3 S6'
_cell_length_a 5.738
_cell_length_b 5.738
_cell_length_c 8.861
_cell_angle_alpha 96.21
_cell_angle_beta 96.21
_cell_angle_gamma 120.00
_symmetry_space_group_name_H-M 'P 1'
_symmetry_Int_Tables_number 1
loop_
_symmetry_equiv_pos_as_xyz
'x,y,z'
loop_
_atom_site_label
_atom_site_fract_x
_atom_site_fract_y
_atom_site_fract_z
_atom_site_occupancy
Ta1 0.122 0.122 0.368 1
Ta2 0.211 0.544 0.633 1
Ta3 0.456 0.789 0.367 1
Ta4 0.544 0.211 0.633 1
Ta5 0.789 0.456 0.367 1
Ta6 0.878 0.878 0.632 1
Ti1 0.000 0.000 0.000 1
C1 0.168 0.832 0.500 1
C2 0.500 0.500 0.500 1
C3 0.832 0.168 0.500 1
S1 0.058 0.394 0.174 1
S2 0.278 0.278 0.827 1
S3 0.394 0.058 0.174 1
S4 0.606 0.942 0.826 1
S5 0.722 0.722 0.173 1
S6 0.942 0.606 0.826 1

=====

Entry 2:
# Cu6Hg3Sb4S12, relaxed, DFT GGA-PBE
# Total energy after the MP2020 corrections   -4.119 eV per atom
# Symmetry   R3, No. 146
# DFT formation energy   -0.453 eV/atom
# E   -3.88 eV per atom
data_Cu6Hg3Sb4S12
_chemical_formula_sum 'Cu6 Hg3 Sb4 S12'
_cell_length_a 8.785
_cell_length_b 8.785
_cell_length_c 8.785
_cell_angle_alpha 107.51
_cell_angle_beta 107.51
_cell_angle_gamma 107.51
_symmetry_space_group_name_H-M 'P 1'
_symmetry_Int_Tables_number 1
loop_
_symmetry_equiv_pos_as_xyz
'x,y,z'
loop_
_atom_site_label
_atom_site_fract_x
_atom_site_fract_y
_atom_site_fract_z
_atom_site_occupancy
Cu1 0.033 0.410 0.557 1
Cu2 0.410 0.557 0.033 1
Cu3 0.515 0.784 0.728 1
Cu4 0.557 0.033 0.410 1
Cu5 0.728 0.515 0.784 1
Cu6 0.784 0.728 0.515 1
Hg1 0.115 0.645 0.255 1
Hg2 0.255 0.115 0.645 1
Hg3 0.645 0.255 0.115 1
Sb1 0.159 0.876 0.946 1
Sb2 0.310 0.310 0.310 1
Sb3 0.876 0.946 0.159 1
Sb4 0.946 0.159 0.876 1
S1 0.154 0.341 0.787 1
S2 0.258 0.549 0.493 1
S3 0.341 0.787 0.154 1
S4 0.387 0.969 0.835 1
S5 0.493 0.258 0.549 1
S6 0.549 0.493 0.258 1
S7 0.610 0.676 0.928 1
S8 0.676 0.928 0.610 1
S9 0.787 0.154 0.341 1
S10 0.835 0.387 0.969 1
S11 0.928 0.610 0.676 1
S12 0.969 0.835 0.387 1

=====

Entry 3:
# Na2Al2In2SiS5O24, relaxed, DFT GGA-PBE
# Total energy after the MP2020 corrections   -6.688 eV per atom
# Symmetry   P1, No. 1
# DFT formation energy   -2.230 eV/atom
# E   -6.23 eV per atom
data_Na2Al2In2SiS5O24
_chemical_formula_sum 'Na6 Al6 In6 Si3 S15 O72'
_cell_length_a 8.640
_cell_length_b 8.642
_cell_length_c 22.685
_cell_angle_alpha 89.34
_cell_angle_beta 89.58
_cell_angle_gamma 60.23
_symmetry_space_group_name_H-M 'P 1'
_symmetry_Int_Tables_number 1
loop_
_symmetry_equiv_pos_as_xyz
'x,y,z'
loop_
_atom_site_label
_atom_site_fract_x
_atom_site_fract_y
_atom_site_fract_z
_atom_site_occupancy
Na1 0.000 0.000 0.000 1
Na2 0.010 0.986 0.502 1
Na3 0.338 0.304 0.330 1
Na4 0.387 0.299 0.833 1
Na5 0.648 0.673 0.176 1
Na6 0.679 0.660 0.669 1
Al1 0.000 0.985 0.657 1
Al2 0.014 0.991 0.347 1
Al3 0.343 0.303 0.189 1
Al4 0.344 0.318 0.483 1
Al5 0.670 0.659 0.319 1
Al6 0.677 0.654 0.516 1
In1 0.023 0.985 0.159 1
In2 0.352 0.315 0.683 1
In3 0.357 0.316 0.982 1
In4 0.674 0.648 0.023 1
In5 0.677 0.655 0.813 1
In6 0.987 0.998 0.854 1
Si1 0.314 0.984 0.257 1
Si2 0.680 0.359 0.920 1
Si3 0.716 0.980 0.746 1
S1 0.006 0.692 0.259 1
S2 0.008 0.273 0.743 1
S3 0.047 0.610 0.577 1
S4 0.054 0.324 0.091 1
S5 0.292 0.703 0.746 1
S6 0.341 0.602 0.095 1
S7 0.347 0.017 0.577 1
S8 0.375 0.950 0.920 1
S9 0.389 0.648 0.420 1
S10 0.638 0.024 0.093 1
S11 0.639 0.327 0.577 1
S12 0.677 0.943 0.419 1
S13 0.714 0.286 0.259 1
S14 0.963 0.367 0.420 1
S15 0.975 0.652 0.922 1
O1 0.012 0.169 0.690 1
O2 0.025 0.169 0.092 1
O3 0.025 0.792 0.920 1
O4 0.031 0.788 0.310 1
O5 0.036 0.785 0.582 1
O6 0.043 0.172 0.799 1
O7 0.115 0.502 0.632 1
O8 0.138 0.476 0.925 1
O9 0.146 0.345 0.427 1
O10 0.151 0.310 0.036 1
O11 0.152 0.317 0.738 1
O12 0.155 0.322 0.144 1
O13 0.167 0.514 0.526 1
O14 0.173 0.522 0.251 1
O15 0.174 0.023 0.311 1
O16 0.175 0.778 0.096 1
O17 0.186 0.000 0.583 1
O18 0.200 0.810 0.691 1
O19 0.204 0.789 0.800 1
O20 0.208 0.805 0.412 1
O21 0.209 0.943 0.915 1
O22 0.254 0.927 0.197 1
O23 0.292 0.532 0.743 1
O24 0.319 0.141 0.526 1
O25 0.329 0.165 0.245 1
O26 0.333 0.138 0.922 1
O27 0.333 0.523 0.039 1
O28 0.348 0.492 0.147 1
O29 0.371 0.484 0.429 1
O30 0.388 0.082 0.631 1
O31 0.457 0.863 0.977 1
O32 0.473 0.680 0.472 1
O33 0.474 0.675 0.743 1
O34 0.489 0.873 0.868 1
O35 0.501 0.622 0.097 1
O36 0.504 0.336 0.917 1
O37 0.504 0.614 0.368 1
O38 0.506 0.837 0.566 1
O39 0.511 0.814 0.271 1
O40 0.514 0.123 0.428 1
O41 0.517 0.156 0.745 1
O42 0.528 0.123 0.144 1
O43 0.533 0.311 0.251 1
O44 0.533 0.371 0.631 1
O45 0.543 0.296 0.527 1
O46 0.565 0.115 0.036 1
O47 0.645 0.859 0.368 1
O48 0.648 0.847 0.093 1
O49 0.659 0.486 0.564 1
O50 0.664 0.468 0.860 1
O51 0.687 0.439 0.984 1
O52 0.703 0.459 0.272 1
O53 0.705 0.797 0.747 1
O54 0.707 0.830 0.473 1
O55 0.795 0.000 0.807 1
O56 0.800 0.157 0.309 1
O57 0.817 0.167 0.582 1
O58 0.817 0.223 0.203 1
O59 0.819 0.003 0.098 1
O60 0.823 0.974 0.685 1
O61 0.834 0.437 0.743 1
O62 0.837 0.963 0.411 1
O63 0.852 0.452 0.473 1
O64 0.859 0.165 0.921 1
O65 0.860 0.654 0.273 1
O66 0.865 0.633 0.567 1
O67 0.867 0.686 0.976 1
O68 0.879 0.482 0.367 1
O69 0.881 0.493 0.093 1
O70 0.884 0.652 0.868 1
O71 0.951 0.803 0.205 1
O72 0.977 0.188 0.413 1

=====

Entry 4:
# Li2InCuCl6, relaxed, DFT GGA-PBE
# Total energy after the MP2020 corrections   -3.518 eV per atom
# Symmetry   Fm-3m, No. 225
# DFT formation energy   -1.342 eV/atom
# E   -3.15 eV per atom
data_Li2InCuCl6
_chemical_formula_sum 'Li2 In1 Cu1 Cl6'
_cell_length_a 7.084
_cell_length_b 7.084
_cell_length_c 7.084
_cell_angle_alpha 60.00
_cell_angle_beta 60.00
_cell_angle_gamma 60.00
_symmetry_space_group_name_H-M 'P 1'
_symmetry_Int_Tables_number 1
loop_
_symmetry_equiv_pos_as_xyz
'x,y,z'
loop_
_atom_site_label
_atom_site_fract_x
_atom_site_fract_y
_atom_site_fract_z
_atom_site_occupancy
Li1 0.250 0.250 0.250 1
Li2 0.750 0.750 0.750 1
In1 0.000 0.000 0.000 1
Cu1 0.500 0.500 0.500 1
Cl1 0.254 0.254 0.746 1
Cl2 0.254 0.746 0.254 1
Cl3 0.254 0.746 0.746 1
Cl4 0.746 0.254 0.254 1
Cl5 0.746 0.254 0.746 1
Cl6 0.746 0.746 0.254 1

=====

Entry 5:
# Na4In2SiP2O12, relaxed, DFT GGA-PBE
# Total energy after the MP2020 corrections   -6.648 eV per atom
# Symmetry   Cc, No. 9
# DFT formation energy   -2.533 eV/atom
# E   -6.26 eV per atom
data_Na4In2SiP2O12
_chemical_formula_sum 'Na24 In12 Si6 P12 O72'
_cell_length_a 9.257
_cell_length_b 9.257
_cell_length_c 22.584
_cell_angle_alpha 90.01
_cell_angle_beta 90.01
_cell_angle_gamma 59.99
_symmetry_space_group_name_H-M 'P 1'
_symmetry_Int_Tables_number 1
loop_
_symmetry_equiv_pos_as_xyz
'x,y,z'
loop_
_atom_site_label
_atom_site_fract_x
_atom_site_fract_y
_atom_site_fract_z
_atom_site_occupancy
Na1 0.127 0.873 0.500 1
Na2 0.133 0.505 0.008 1
Na3 0.162 0.163 0.419 1
Na4 0.163 0.162 0.919 1
Na5 0.168 0.792 0.169 1
Na6 0.171 0.528 0.671 1
Na7 0.196 0.839 0.841 1
Na8 0.201 0.471 0.332 1
Na9 0.463 0.833 0.336 1
Na10 0.471 0.201 0.832 1
Na11 0.490 0.504 0.253 1
Na12 0.495 0.866 0.001 1
Na13 0.504 0.490 0.753 1
Na14 0.505 0.133 0.508 1
Na15 0.528 0.171 0.171 1
Na16 0.532 0.806 0.668 1
Na17 0.792 0.168 0.669 1
Na18 0.806 0.532 0.168 1
Na19 0.827 0.844 0.586 1
Na20 0.833 0.463 0.836 1
Na21 0.839 0.196 0.341 1
Na22 0.844 0.827 0.086 1
Na23 0.866 0.495 0.501 1
Na24 0.873 0.127 0.000 1
In1 0.166 0.166 0.268 1
In2 0.166 0.166 0.768 1
In3 0.166 0.167 0.571 1
In4 0.167 0.166 0.071 1
In5 0.495 0.501 0.102 1
In6 0.498 0.502 0.904 1
In7 0.501 0.495 0.602 1
In8 0.502 0.498 0.404 1
In9 0.829 0.842 0.738 1
In10 0.837 0.838 0.435 1
In11 0.838 0.837 0.935 1
In12 0.842 0.829 0.238 1
Si1 0.138 0.833 0.336 1
Si2 0.167 0.465 0.169 1
Si3 0.200 0.801 0.003 1
Si4 0.465 0.167 0.669 1
Si5 0.801 0.200 0.503 1
Si6 0.833 0.138 0.836 1
P1 0.130 0.536 0.836 1
P2 0.169 0.866 0.669 1
P3 0.200 0.500 0.503 1
P4 0.469 0.867 0.170 1
P5 0.500 0.200 0.003 1
P6 0.501 0.798 0.503 1
P7 0.536 0.130 0.336 1
P8 0.537 0.832 0.837 1
P9 0.798 0.501 0.003 1
P10 0.832 0.537 0.337 1
P11 0.866 0.169 0.169 1
P12 0.867 0.469 0.670 1
O1 0.003 0.155 0.832 1
O2 0.014 0.816 0.001 1
O3 0.014 0.841 0.674 1
O4 0.021 0.614 0.892 1
O5 0.021 0.655 0.498 1
O6 0.022 0.870 0.395 1
O7 0.048 0.643 0.780 1
O8 0.058 0.797 0.277 1
O9 0.135 0.382 0.110 1
O10 0.135 0.976 0.614 1
O11 0.150 0.359 0.832 1
O12 0.155 0.003 0.332 1
O13 0.181 0.989 0.007 1
O14 0.187 0.340 0.507 1
O15 0.196 0.944 0.725 1
O16 0.199 0.350 0.229 1
O17 0.276 0.535 0.558 1
O18 0.281 0.687 0.062 1
O19 0.305 0.522 0.840 1
O20 0.307 0.473 0.447 1
O21 0.315 0.721 0.944 1
O22 0.324 0.664 0.340 1
O23 0.331 0.692 0.664 1
O24 0.338 0.480 0.167 1
O25 0.340 0.187 0.007 1
O26 0.344 0.975 0.506 1
O27 0.350 0.199 0.729 1
O28 0.358 0.944 0.225 1
O29 0.359 0.150 0.332 1
O30 0.362 0.992 0.833 1
O31 0.382 0.135 0.610 1
O32 0.389 0.973 0.114 1
O33 0.471 0.719 0.447 1
O34 0.473 0.307 0.947 1
O35 0.480 0.338 0.667 1
O36 0.494 0.688 0.166 1
O37 0.517 0.675 0.840 1
O38 0.522 0.305 0.340 1
O39 0.526 0.692 0.559 1
O40 0.535 0.276 0.058 1
O41 0.614 0.021 0.392 1
O42 0.619 0.857 0.893 1
O43 0.642 0.856 0.175 1
O44 0.643 0.048 0.280 1
O45 0.645 0.802 0.781 1
O46 0.651 0.997 0.671 1
O47 0.655 0.021 0.998 1
O48 0.662 0.811 0.498 1
O49 0.664 0.324 0.840 1
O50 0.675 0.517 0.340 1
O51 0.687 0.281 0.562 1
O52 0.688 0.494 0.666 1
O53 0.692 0.331 0.164 1
O54 0.692 0.526 0.059 1
O55 0.719 0.471 0.947 1
O56 0.721 0.315 0.444 1
O57 0.797 0.058 0.777 1
O58 0.802 0.645 0.281 1
O59 0.811 0.662 0.998 1
O60 0.816 0.014 0.501 1
O61 0.841 0.014 0.174 1
O62 0.856 0.642 0.675 1
O63 0.857 0.619 0.393 1
O64 0.870 0.022 0.895 1
O65 0.944 0.196 0.225 1
O66 0.944 0.358 0.725 1
O67 0.973 0.389 0.614 1
O68 0.975 0.344 0.006 1
O69 0.976 0.135 0.114 1
O70 0.989 0.181 0.507 1
O71 0.992 0.362 0.333 1
O72 0.997 0.651 0.171 1

=====

Entry 6:
# Na3CaAlSiS2O12, relaxed, DFT GGA-PBE
# Total energy after the MP2020 corrections   -6.636 eV per atom
# Symmetry   Cc, No. 9
# DFT formation energy   -2.496 eV/atom
# E   -6.22 eV per atom
data_Na3CaAlSiS2O12
_chemical_formula_sum 'Na18 Ca6 Al6 Si6 S12 O72'
_cell_length_a 9.186
_cell_length_b 9.186
_cell_length_c 22.357
_cell_angle_alpha 91.62
_cell_angle_beta 91.62
_cell_angle_gamma 59.96
_symmetry_space_group_name_H-M 'P 1'
_symmetry_Int_Tables_number 1
loop_
_symmetry_equiv_pos_as_xyz
'x,y,z'
loop_
_atom_site_label
_atom_site_fract_x
_atom_site_fract_y
_atom_site_fract_z
_atom_site_occupancy
Na1 0.130 0.501 0.984 1
Na2 0.137 0.162 0.581 1
Na3 0.139 0.861 0.500 1
Na4 0.157 0.787 0.824 1
Na5 0.162 0.137 0.081 1
Na6 0.187 0.494 0.672 1
Na7 0.191 0.838 0.154 1
Na8 0.474 0.516 0.747 1
Na9 0.494 0.187 0.172 1
Na10 0.501 0.130 0.484 1
Na11 0.516 0.474 0.247 1
Na12 0.523 0.823 0.333 1
Na13 0.787 0.157 0.324 1
Na14 0.820 0.832 0.413 1
Na15 0.823 0.523 0.833 1
Na16 0.832 0.820 0.913 1
Na17 0.838 0.191 0.654 1
Na18 0.861 0.139 0.000 1
Ca1 0.153 0.171 0.430 1
Ca2 0.171 0.153 0.930 1
Ca3 0.504 0.507 0.597 1
Ca4 0.507 0.504 0.097 1
Ca5 0.832 0.833 0.763 1
Ca6 0.833 0.832 0.263 1
Al1 0.144 0.189 0.232 1
Al2 0.189 0.144 0.732 1
Al3 0.444 0.490 0.901 1
Al4 0.490 0.444 0.401 1
Al5 0.825 0.881 0.568 1
Al6 0.881 0.825 0.068 1
Si1 0.130 0.849 0.669 1
Si2 0.175 0.445 0.830 1
Si3 0.187 0.794 0.001 1
Si4 0.445 0.175 0.330 1
Si5 0.794 0.187 0.501 1
Si6 0.849 0.130 0.169 1
S1 0.121 0.524 0.160 1
S2 0.185 0.851 0.329 1
S3 0.195 0.513 0.497 1
S4 0.456 0.858 0.828 1
S5 0.513 0.195 0.997 1
S6 0.515 0.786 0.493 1
S7 0.524 0.121 0.660 1
S8 0.531 0.847 0.162 1
S9 0.786 0.515 0.993 1
S10 0.847 0.531 0.662 1
S11 0.851 0.185 0.829 1
S12 0.858 0.456 0.328 1
O1 0.011 0.366 0.660 1
O2 0.013 0.636 0.825 1
O3 0.017 0.614 0.105 1
O4 0.031 0.134 0.176 1
O5 0.031 0.672 0.496 1
O6 0.044 0.625 0.213 1
O7 0.044 0.818 0.323 1
O8 0.050 0.823 0.728 1
O9 0.130 0.357 0.162 1
O10 0.134 0.031 0.676 1
O11 0.143 0.987 0.995 1
O12 0.150 0.376 0.891 1
O13 0.154 0.952 0.385 1
O14 0.177 0.364 0.489 1
O15 0.191 0.319 0.771 1
O16 0.197 0.946 0.278 1
O17 0.277 0.717 0.063 1
O18 0.286 0.496 0.553 1
O19 0.289 0.662 0.943 1
O20 0.294 0.496 0.156 1
O21 0.295 0.529 0.446 1
O22 0.310 0.679 0.661 1
O23 0.319 0.191 0.271 1
O24 0.344 0.954 0.775 1
O25 0.348 0.466 0.835 1
O26 0.349 0.690 0.334 1
O27 0.357 0.130 0.662 1
O28 0.364 0.177 0.989 1
O29 0.366 0.011 0.160 1
O30 0.369 0.962 0.490 1
O31 0.376 0.150 0.391 1
O32 0.388 0.949 0.883 1
O33 0.459 0.694 0.827 1
O34 0.466 0.348 0.335 1
O35 0.480 0.715 0.545 1
O36 0.490 0.710 0.158 1
O37 0.496 0.286 0.053 1
O38 0.496 0.294 0.656 1
O39 0.526 0.687 0.437 1
O40 0.529 0.295 0.946 1
O41 0.612 0.830 0.221 1
O42 0.614 0.017 0.605 1
O43 0.625 0.044 0.713 1
O44 0.628 0.827 0.822 1
O45 0.636 0.013 0.325 1
O46 0.637 0.847 0.113 1
O47 0.662 0.289 0.443 1
O48 0.672 0.031 0.996 1
O49 0.672 0.796 0.501 1
O50 0.679 0.310 0.161 1
O51 0.687 0.526 0.937 1
O52 0.690 0.349 0.834 1
O53 0.694 0.459 0.327 1
O54 0.710 0.490 0.658 1
O55 0.715 0.480 0.045 1
O56 0.717 0.277 0.563 1
O57 0.796 0.672 0.001 1
O58 0.797 0.999 0.502 1
O59 0.818 0.044 0.823 1
O60 0.823 0.050 0.228 1
O61 0.827 0.628 0.322 1
O62 0.830 0.612 0.721 1
O63 0.847 0.637 0.613 1
O64 0.883 0.994 0.109 1
O65 0.946 0.197 0.778 1
O66 0.949 0.388 0.383 1
O67 0.952 0.154 0.885 1
O68 0.954 0.344 0.275 1
O69 0.962 0.369 0.990 1
O70 0.987 0.143 0.495 1
O71 0.994 0.883 0.609 1
O72 0.999 0.797 0.002 1